Material: CrI7N6
Method: DFT, PBE
State: relaxed

Output
total energy: -4.7083 eV per atom
energy relative to the elements: 218 kJ/mol of formula units
density: 2.8 g/cm³
space group: C2/m, No. 12

a = 9.3093 Å, b = 9.3093 Å, c = 6.9868 Å
α = 88.02°, β = 88.02°, γ = 81.93°
Fractional positions:
Cr1 0.0000 0.0000 0.0000
I1 0.6733 0.6733 0.7187
I2 0.3267 0.3267 0.2813
I3 0.5000 0.5000 0.5000
I4 0.0808 0.0808 0.3464
I5 0.9192 0.9192 0.6536
I6 0.2446 0.2446 0.7862
I7 0.7554 0.7554 0.2138
N1 0.3093 0.7466 0.0541
N2 0.6907 0.2534 0.9459
N3 0.2534 0.6907 0.9459
N4 0.7466 0.3093 0.0541
N5 0.1172 0.1172 0.9041
N6 0.8828 0.8828 0.0959

Material: BaH4O6
Method: DFT, PBE
State: relaxed

Output
total energy: -5.0556 eV per atom
energy relative to the elements: -1100 kJ/mol of formula units
density: 3.5 g/cm³
space group: C2/c, No. 15
polymorph energy (0 for the lowest one): 322 meV per atom

a = 5.3203 Å, b = 5.3203 Å, c = 8.4195 Å
α = 83.91°, β = 83.91°, γ = 73.47°
Fractional positions:
Ba1 0.2049 0.7951 0.7500
Ba2 0.7951 0.2049 0.2500
H1 0.7305 0.6735 0.5463
H2 0.3265 0.2695 0.9537
H3 0.2695 0.3265 0.4537
H4 0.6735 0.7305 0.0463
H5 0.6338 0.1855 0.6267
H6 0.1855 0.6338 0.1267
H7 0.8145 0.3662 0.8733
H8 0.3662 0.8145 0.3733
O1 0.8119 0.8355 0.5425
O2 0.1645 0.1880 0.9575
O3 0.1880 0.1645 0.4575
O4 0.8355 0.8119 0.0425
O5 0.6636 0.9875 0.6772
O6 0.0125 0.3364 0.8228
O7 0.3364 0.0125 0.3228
O8 0.9875 0.6636 0.1772
O9 0.6093 0.4542 0.5546
O10 0.5458 0.3907 0.9454
O11 0.3907 0.5458 0.4454
O12 0.4542 0.6093 0.0546

Material: PrNdSb2
Method: DFT, PBE
State: relaxed

Output
total energy: -5.6293 eV per atom
energy relative to the elements: -492 kJ/mol of formula units
density: 6.6 g/cm³
space group: R-3m, No. 166

a = 7.8372 Å, b = 7.8372 Å, c = 7.8372 Å
α = 33.91°, β = 33.91°, γ = 33.91°
Fractional positions:
Pr1 0.5000 0.5000 0.5000
Nd1 0.0000 0.0000 0.0000
Sb1 0.2505 0.2505 0.2505
Sb2 0.7495 0.7495 0.7495

Material: TiAlF5
Method: DFT, PBE
State: relaxed

Output
total energy: -6.1730 eV per atom
energy relative to the elements: -2345 kJ/mol of formula units
density: 3.2 g/cm³
space group: Immm, No. 71

a = 5.3116 Å, b = 5.3116 Å, c = 5.3116 Å
α = 140.07°, β = 106.63°, γ = 86.96°
Fractional positions:
Ti1 0.0000 0.0000 0.0000
Al1 0.5000 0.5000 0.0000
F1 0.7926 0.5000 0.2926
F2 0.2074 0.5000 0.7074
F3 0.2673 0.2673 0.0000
F4 0.7327 0.7327 0.0000
F5 0.5000 0.0000 0.5000

Material: NdSm3
Method: DFT, PBE
State: relaxed

Output
total energy: -4.7028 eV per atom
energy relative to the elements: 11 kJ/mol of formula units
density: 7.1 g/cm³
space group: P6_3/mmc, No. 194
polymorph energy (0 for the lowest one): 18 meV per atom

a = 7.3118 Å, b = 7.3118 Å, c = 5.9777 Å
α = 90.00°, β = 90.00°, γ = 120.00°
Fractional positions:
Nd1 0.6667 0.3333 0.2500
Nd2 0.3333 0.6667 0.7500
Sm1 0.1664 0.8336 0.2500
Sm2 0.6672 0.8336 0.2500
Sm3 0.1664 0.3328 0.2500
Sm4 0.8336 0.1664 0.7500
Sm5 0.3328 0.1664 0.7500
Sm6 0.8336 0.6672 0.7500

Material: Ti19O30
Method: DFT, PBE
State: relaxed

Output
total energy: -9.0009 eV per atom
energy relative to the elements: -15747 kJ/mol of formula units
density: 4.4 g/cm³
space group: P1, No. 1

a = 5.1019 Å, b = 5.5238 Å, c = 21.1471 Å
α = 94.18°, β = 90.06°, γ = 117.48°
Fractional positions:
Ti1 0.5116 0.0457 0.9351
Ti2 0.8185 0.6295 0.8375
Ti3 0.4159 0.8319 0.6315
Ti4 0.2841 0.5683 0.4691
Ti5 0.3156 0.6320 0.3301
Ti6 0.3887 0.7725 0.7714
Ti7 0.1181 0.2322 0.7311
Ti8 0.0897 0.1715 0.8697
Ti9 0.9832 0.9681 0.5697
Ti10 0.9157 0.8211 0.1278
Ti11 0.0167 0.0321 0.4308
Ti12 0.8828 0.7707 0.2686
Ti13 0.6160 0.2311 0.2303
Ti14 0.7163 0.4315 0.5313
Ti15 0.6854 0.3711 0.6713
Ti16 0.5842 0.1688 0.3689
Ti17 0.1840 0.3703 0.1670
Ti18 0.4849 0.9732 0.0683
Ti19 0.2157 0.4393 0.0238
O1 0.1624 0.7001 0.5501
O2 0.5133 0.3554 0.8828
O3 0.1086 0.8494 0.9051
O4 0.6758 0.0378 0.7128
O5 0.7364 0.1629 0.5883
O6 0.6424 0.9084 0.8508
O7 0.4370 0.5008 0.2496
O8 0.9608 0.2766 0.9485
O9 0.7619 0.9006 0.3501
O10 0.6626 0.6373 0.6129
O11 0.0648 0.4394 0.8119
O12 0.8670 0.0406 0.2117
O13 0.1285 0.5642 0.6883
O14 0.7254 0.7621 0.4878
O15 0.4332 0.2192 0.0144
O16 0.2747 0.2376 0.5125
O17 0.8740 0.4389 0.3121
O18 0.5035 0.7722 0.9867
O19 0.1278 0.9577 0.7859
O20 0.3372 0.3630 0.3875
O21 0.9401 0.5641 0.1885
O22 0.2394 0.1013 0.6500
O23 0.0516 0.6849 0.0591
O24 0.5645 0.5021 0.7512
O25 0.3627 0.1020 0.1504
O26 0.2635 0.8377 0.4122
O27 0.9244 0.1576 0.0870
O28 0.3247 0.9633 0.2875
O29 0.4839 0.6365 0.1116
O30 0.8378 0.3002 0.4501

Material: V4GeSe8
Method: DFT, PBE
State: relaxed

Output
total energy: -5.9528 eV per atom
energy relative to the elements: -1181 kJ/mol of formula units
density: 5.6 g/cm³
space group: R3m, No. 160
polymorph energy (0 for the lowest one): 4 meV per atom

a = 7.1837 Å, b = 7.2761 Å, c = 7.2765 Å
α = 60.00°, β = 59.57°, γ = 59.57°
Fractional positions:
V1 0.5944 0.6064 0.1929
V2 0.5944 0.6064 0.6063
V3 0.2173 0.5943 0.5942
V4 0.5943 0.1930 0.6064
Ge1 0.9881 0.0039 0.0040
Se1 0.3741 0.3643 0.3643
Se2 0.8865 0.3711 0.3712
Se3 0.3741 0.8974 0.3642
Se4 0.3741 0.3643 0.8973
Se5 0.8641 0.8589 0.8590
Se6 0.4104 0.8632 0.8632
Se7 0.8641 0.4179 0.8590
Se8 0.8641 0.8589 0.4180

Material: KTcO2
Method: DFT, PBE
State: relaxed

Output
total energy: -6.2990 eV per atom
energy relative to the elements: -502 kJ/mol of formula units
density: 4.3 g/cm³
space group: I4_1/amd, No. 141

a = 7.7383 Å, b = 7.7383 Å, c = 7.7383 Å
α = 130.57°, β = 130.57°, γ = 72.50°
Fractional positions:
K1 0.8750 0.6250 0.2500
K2 0.3750 0.6250 0.7500
K3 0.3750 0.6250 0.2500
K4 0.3750 0.1250 0.7500
Tc1 0.3750 0.1250 0.2500
Tc2 0.8750 0.1250 0.7500
Tc3 0.8750 0.1250 0.2500
Tc4 0.8750 0.6250 0.7500
O1 0.1469 0.3372 0.1903
O2 0.1469 0.9566 0.8097
O3 0.0872 0.3969 0.6903
O4 0.6031 0.9128 0.3097
O5 0.7066 0.3969 0.3097
O6 0.6031 0.2934 0.6903
O7 0.6628 0.8531 0.8097
O8 0.0434 0.8531 0.1903

Material: MgSi2
Method: DFT, PBE
State: relaxed

Output
total energy: -4.0447 eV per atom
energy relative to the elements: 44 kJ/mol of formula units
density: 2.3 g/cm³
space group: P-1, No. 2
polymorph energy (0 for the lowest one): 75 meV per atom

a = 6.5425 Å, b = 6.8586 Å, c = 10.6646 Å
α = 94.15°, β = 89.50°, γ = 100.15°
Fractional positions:
Mg1 0.2584 0.1603 0.2617
Mg2 0.7416 0.8397 0.7383
Mg3 0.7804 0.5966 0.9843
Mg4 0.5902 0.3502 0.7370
Mg5 0.7934 0.0179 0.1442
Mg6 0.2066 0.9821 0.8558
Mg7 0.4098 0.6498 0.2630
Mg8 0.2196 0.4034 0.0157
Si1 0.4581 0.3260 0.4711
Si2 0.8838 0.1866 0.8770
Si3 0.4461 0.8191 0.0193
Si4 0.2717 0.1187 0.6195
Si5 0.6180 0.3702 0.1736
Si6 0.2195 0.7861 0.5328
Si7 0.7283 0.8813 0.3805
Si8 0.9770 0.2678 0.6596
Si9 0.1162 0.8134 0.1230
Si10 0.7805 0.2139 0.4672
Si11 0.0230 0.7322 0.3404
Si12 0.3820 0.6298 0.8264
Si13 0.9404 0.3826 0.2916
Si14 0.5539 0.1809 0.9807
Si15 0.0596 0.6174 0.7084
Si16 0.5419 0.6740 0.5289

Material: Rb3P11
Method: DFT, PBE
State: relaxed

Output
total energy: -4.2077 eV per atom
energy relative to the elements: 345 kJ/mol of formula units
density: 2.8 g/cm³
space group: R-3m, No. 166
polymorph energy (0 for the lowest one): 575 meV per atom

a = 4.1898 Å, b = 4.1898 Å, c = 49.7739 Å
α = 70.32°, β = 70.32°, γ = 60.00°
Fractional positions:
Rb1 0.1024 0.1024 0.2116
Rb2 0.9906 0.9906 0.3785
Rb3 0.9480 0.9480 0.5195
Rb4 0.0520 0.0520 0.6055
Rb5 0.0094 0.0094 0.7465
Rb6 0.8976 0.8976 0.9134
P1 0.2398 0.2398 0.0351
P2 0.4347 0.4347 0.0870
P3 0.7602 0.7602 0.0899
P4 0.6287 0.6287 0.1392
P5 0.2759 0.2759 0.2715
P6 0.9323 0.9323 0.1504
P7 0.5935 0.5935 0.2774
P8 0.4645 0.4645 0.3258
P9 0.8356 0.8356 0.3117
P10 0.5284 0.5284 0.4269
P11 0.4028 0.4028 0.4740
P12 0.7938 0.7938 0.4523
P13 0.2062 0.2062 0.6727
P14 0.5972 0.5972 0.6510
P15 0.4716 0.4716 0.6981
P16 0.1644 0.1644 0.8133
P17 0.5355 0.5355 0.7992
P18 0.4065 0.4065 0.8476
P19 0.0677 0.0677 0.9746
P20 0.7241 0.7241 0.8535
P21 0.3713 0.3713 0.9858
P22 0.5653 0.5653 0.0380

Material: CaTiP2O7
Method: DFT, PBE
State: relaxed

Output
total energy: -7.4911 eV per atom
energy relative to the elements: -3073 kJ/mol of formula units
density: 3.1 g/cm³
space group: P2_1/c, No. 14
polymorph energy (0 for the lowest one): 0 meV per atom

a = 8.8715 Å, b = 7.4270 Å, c = 9.4512 Å
α = 63.16°, β = 90.00°, γ = 90.00°
Fractional positions:
Ca1 0.9461 0.7159 0.1421
Ca2 0.4461 0.2841 0.3579
Ca3 0.5539 0.7159 0.6421
Ca4 0.0539 0.2841 0.8579
Ti1 0.0695 0.2140 0.3974
Ti2 0.9305 0.7860 0.6026
Ti3 0.5695 0.7860 0.1026
Ti4 0.4305 0.2140 0.8974
P1 0.7296 0.0574 0.7530
P2 0.2418 0.5286 0.0370
P3 0.7704 0.0574 0.2530
P4 0.2582 0.5286 0.5370
P5 0.2296 0.9426 0.7470
P6 0.7418 0.4714 0.4630
P7 0.7582 0.4714 0.9630
P8 0.2704 0.9426 0.2470
O1 0.1764 0.7393 0.9013
O2 0.6277 0.0909 0.3255
O3 0.8723 0.0909 0.8255
O4 0.3885 0.5667 0.1049
O5 0.8236 0.2607 0.0987
O6 0.0908 0.9857 0.6372
O7 0.6115 0.4333 0.8951
O8 0.1094 0.4650 0.1556
O9 0.2394 0.3877 0.4596
O10 0.9092 0.0143 0.3628
O11 0.4092 0.9857 0.1372
O12 0.7573 0.9020 0.1881
O13 0.2573 0.0980 0.3119
O14 0.3236 0.7393 0.4013
O15 0.5908 0.0143 0.8628
O16 0.1277 0.9091 0.1745
O17 0.2427 0.0980 0.8119
O18 0.8906 0.5350 0.8444
O19 0.2606 0.3877 0.9596
O20 0.7394 0.6123 0.0404
O21 0.8885 0.4333 0.3951
O22 0.3906 0.4650 0.6556
O23 0.6094 0.5350 0.3444
O24 0.3723 0.9091 0.6745
O25 0.7427 0.9020 0.6881
O26 0.1115 0.5667 0.6049
O27 0.7606 0.6123 0.5404
O28 0.6764 0.2607 0.5987

Material: Hf3Pb
Method: DFT, PBE
State: relaxed

Output
total energy: -8.4138 eV per atom
energy relative to the elements: -7 kJ/mol of formula units
density: 13.6 g/cm³
space group: I4/mmm, No. 139

a = 5.6766 Å, b = 5.6766 Å, c = 5.6766 Å
α = 134.80°, β = 134.80°, γ = 65.84°
Fractional positions:
Hf1 0.7500 0.2500 0.5000
Hf2 0.2500 0.7500 0.5000
Hf3 0.5000 0.5000 0.0000
Pb1 0.0000 0.0000 0.0000

Material: CdAg2Sn3S8
Method: DFT, PBE
State: relaxed

Output
total energy: -4.0450 eV per atom
energy relative to the elements: -863 kJ/mol of formula units
density: 4.8 g/cm³
space group: R-3m, No. 166

a = 7.7636 Å, b = 7.7636 Å, c = 7.7636 Å
α = 59.36°, β = 59.36°, γ = 59.36°
Fractional positions:
Cd1 0.5000 0.5000 0.5000
Ag1 0.1195 0.1195 0.1195
Ag2 0.8805 0.8805 0.8805
Sn1 0.0000 0.5000 0.5000
Sn2 0.5000 0.5000 0.0000
Sn3 0.5000 0.0000 0.5000
S1 0.2557 0.2557 0.2557
S2 0.7187 0.2542 0.2542
S3 0.2542 0.2542 0.7187
S4 0.2542 0.7187 0.2542
S5 0.7443 0.7443 0.7443
S6 0.2813 0.7458 0.7458
S7 0.7458 0.7458 0.2813
S8 0.7458 0.2813 0.7458

Material: SrCaEuSbO6
Method: DFT, PBE
State: relaxed

Output
total energy: -7.0973 eV per atom
energy relative to the elements: -2637 kJ/mol of formula units
density: 5.5 g/cm³
space group: F-43m, No. 216
polymorph energy (0 for the lowest one): 93 meV per atom

a = 5.9705 Å, b = 5.9705 Å, c = 5.9705 Å
α = 60.00°, β = 60.00°, γ = 60.00°
Fractional positions:
Sr1 0.2500 0.2500 0.2500
Ca1 0.7500 0.7500 0.7500
Eu1 0.0000 0.0000 0.0000
Sb1 0.5000 0.5000 0.5000
O1 0.7353 0.2647 0.2647
O2 0.2647 0.7353 0.7353
O3 0.7353 0.2647 0.7353
O4 0.2647 0.7353 0.2647
O5 0.7353 0.7353 0.2647
O6 0.2647 0.2647 0.7353

Material: KTe3Mo3
Method: DFT, PBE
State: relaxed

Output
total energy: -6.6386 eV per atom
energy relative to the elements: -327 kJ/mol of formula units
density: 6.1 g/cm³
space group: P6_3/m, No. 176

a = 9.8470 Å, b = 9.8470 Å, c = 4.6290 Å
α = 90.00°, β = 90.00°, γ = 120.00°
Fractional positions:
K1 0.3333 0.6667 0.2500
K2 0.6667 0.3333 0.7500
Te1 0.3574 0.0564 0.2500
Te2 0.9436 0.3011 0.2500
Te3 0.6989 0.6426 0.2500
Te4 0.3011 0.3574 0.7500
Te5 0.0564 0.6989 0.7500
Te6 0.6426 0.9436 0.7500
Mo1 0.1414 0.1684 0.2500
Mo2 0.0270 0.8586 0.2500
Mo3 0.8316 0.9730 0.2500
Mo4 0.1684 0.0270 0.7500
Mo5 0.9730 0.1414 0.7500
Mo6 0.8586 0.8316 0.7500

Material: Li2Ce2Ge3
Method: DFT, PBE
State: relaxed

Output
total energy: -4.8548 eV per atom
energy relative to the elements: -427 kJ/mol of formula units
density: 6.0 g/cm³
space group: Cmcm, No. 63

a = 9.5938 Å, b = 9.5938 Å, c = 6.8806 Å
α = 90.00°, β = 90.00°, γ = 153.18°
Fractional positions:
Li1 0.6910 0.3090 0.0624
Li2 0.3090 0.6910 0.9376
Li3 0.3090 0.6910 0.5624
Li4 0.6910 0.3090 0.4376
Ce1 0.1565 0.8435 0.7500
Ce2 0.8435 0.1565 0.2500
Ce3 0.9496 0.0504 0.7500
Ce4 0.0504 0.9496 0.2500
Ge1 0.2204 0.7796 0.2500
Ge2 0.7796 0.2204 0.7500
Ge3 0.5631 0.4369 0.5648
Ge4 0.4369 0.5631 0.4352
Ge5 0.4369 0.5631 0.0648
Ge6 0.5631 0.4369 0.9352